1.
First-principles (PBE with a Hubbard U) data for CaFe3Si2O9 after structural relaxation, as listed in the Materials Project.

ΔH_f (0 K) ... -2181 meV per atom
Relative energy among the computed polymorphs ... 345 meV/atom
Density ... 2.45 g/cm³

Geometry as CIF:
```
data_CaFe3Si2O9
_cell_length_a 20.126
_cell_length_b 5.981
_cell_length_c 9.188
_cell_angle_alpha 90.00
_cell_angle_beta 90.00
_cell_angle_gamma 90.00
_symmetry_space_group_name_H-M 'P n m a'
_symmetry_Int_Tables_number 62
loop_
_symmetry_equiv_pos_as_xyz
'x,y,z'
'-x,-y,-z'
'-x+1/2,-y,z+1/2'
'x+1/2,y,-z+1/2'
'x+1/2,-y+1/2,-z+1/2'
'-x+1/2,y+1/2,z+1/2'
'-x,y+1/2,-z'
'x,-y+1/2,z'
loop_
_atom_site_label
_atom_site_type_symbol
_atom_site_fract_x
_atom_site_fract_y
_atom_site_fract_z
Ca1 Ca 0.046 0.250 0.012
Fe1 Fe 0.135 0.002 0.368
Fe2 Fe 0.241 0.750 0.556
Si1 Si 0.054 0.750 0.223
Si2 Si 0.249 0.250 0.345
O1 O 0.019 0.533 0.152
O2 O 0.067 0.750 0.406
O3 O 0.098 0.250 0.454
O4 O 0.138 0.750 0.201
O5 O 0.181 0.250 0.229
O6 O 0.188 0.750 0.742
O7 O 0.231 0.020 0.438
```

***

2.
First-principles (PBE with a Hubbard U) data for Ca2ZnFeSi4O12 after structural relaxation, as listed in the Materials Project.

ΔH_f (0 K) ... -3021 meV per atom
Density ... 3.61 g/cm³

Geometry as CIF:
```
data_Ca2ZnFeSi4O12
_cell_length_a 7.715
_cell_length_b 7.727
_cell_length_c 9.394
_cell_angle_alpha 109.40
_cell_angle_beta 103.64
_cell_angle_gamma 107.95
_symmetry_space_group_name_H-M 'P 1'
_symmetry_Int_Tables_number 1
loop_
_symmetry_equiv_pos_as_xyz
'x,y,z'
loop_
_atom_site_label
_atom_site_type_symbol
_atom_site_fract_x
_atom_site_fract_y
_atom_site_fract_z
Ca1 Ca 0.000 0.000 0.000
Ca2 Ca 0.154 0.404 0.750
Ca3 Ca 0.500 0.999 0.500
Ca4 Ca 0.656 0.405 0.251
Zn1 Zn 0.048 0.798 0.250
Zn2 Zn 0.548 0.798 0.750
Fe1 Fe 0.107 0.607 0.500
Fe2 Fe 0.607 0.607 0.000
Si1 Si 0.285 0.507 0.205
Si2 Si 0.304 0.081 0.796
Si3 Si 0.351 0.322 0.455
Si4 Si 0.368 0.897 0.045
Si5 Si 0.785 0.508 0.704
Si6 Si 0.803 0.080 0.295
Si7 Si 0.852 0.323 0.955
Si8 Si 0.868 0.897 0.545
O1 O 0.061 0.032 0.725
O2 O 0.095 0.371 0.023
O3 O 0.167 0.819 0.075
O4 O 0.238 0.672 0.330
O5 O 0.243 0.092 0.425
O6 O 0.306 0.334 0.275
O7 O 0.313 0.493 0.582
O8 O 0.345 0.910 0.670
O9 O 0.348 0.071 0.977
O10 O 0.410 0.731 0.917
O11 O 0.412 0.311 0.825
O12 O 0.487 0.588 0.177
O13 O 0.561 0.032 0.225
O14 O 0.594 0.371 0.523
O15 O 0.668 0.819 0.575
O16 O 0.739 0.674 0.829
O17 O 0.744 0.092 0.925
O18 O 0.807 0.336 0.775
O19 O 0.813 0.493 0.082
O20 O 0.842 0.907 0.169
O21 O 0.848 0.071 0.477
O22 O 0.910 0.731 0.417
O23 O 0.912 0.309 0.323
O24 O 0.986 0.588 0.675
```

***

3.
First-principles (PBE with a Hubbard U) data for Ca3Zr2Fe2SiO12 after structural relaxation, as listed in the Materials Project.

ΔH_f (0 K) ... -3133 meV per atom
Density ... 4.03 g/cm³

Geometry as CIF:
```
data_Ca3Zr2Fe2SiO12
_cell_length_a 12.866
_cell_length_b 12.866
_cell_length_c 12.621
_cell_angle_alpha 90.00
_cell_angle_beta 90.00
_cell_angle_gamma 90.00
_symmetry_space_group_name_H-M 'I 41/a c d'
_symmetry_Int_Tables_number 142
loop_
_symmetry_equiv_pos_as_xyz
'x,y,z'
'-x,-y,-z'
'-y+1/4,x+3/4,z+1/4'
'y+1/4,-x+3/4,-z+1/4'
'-x+1/2,-y,z+1/2'
'x+1/2,y,-z+1/2'
'y+1/4,-x+1/4,z+3/4'
'-y+1/4,x+1/4,-z+3/4'
'x,-y,-z+1/2'
'-x,y,z+1/2'
'-y+1/4,-x+1/4,-z+1/4'
'y+1/4,x+1/4,z+1/4'
'-x+1/2,y,-z'
'x+1/2,-y,z'
'y+1/4,x+3/4,-z+3/4'
'-y+1/4,-x+3/4,z+3/4'
'x+1/2,y+1/2,z+1/2'
'-x+1/2,-y+1/2,-z+1/2'
'-y+3/4,x+1/4,z+3/4'
'y+3/4,-x+1/4,-z+3/4'
'-x,-y+1/2,z'
'x,y+1/2,-z'
'y+3/4,-x+3/4,z+1/4'
'-y+3/4,x+3/4,-z+1/4'
'x+1/2,-y+1/2,-z'
'-x+1/2,y+1/2,z'
'-y+3/4,-x+3/4,-z+3/4'
'y+3/4,x+3/4,z+3/4'
'-x,y+1/2,-z+1/2'
'x,-y+1/2,z+1/2'
'y+3/4,x+1/4,-z+1/4'
'-y+3/4,-x+1/4,z+1/4'
loop_
_atom_site_label
_atom_site_type_symbol
_atom_site_fract_x
_atom_site_fract_y
_atom_site_fract_z
Ca1 Ca 0.000 0.250 0.125
Ca2 Ca 0.124 0.000 0.250
Zr1 Zr 0.000 0.000 0.000
Fe1 Fe 0.126 0.000 0.750
Si1 Si 0.000 0.250 0.375
O1 O 0.028 0.058 0.653
O2 O 0.043 0.157 0.955
O3 O 0.152 0.026 0.448
```

***

4.
First-principles (PBE with a Hubbard U) data for CaSmFe4O12 after structural relaxation, as listed in the Materials Project.

ΔH_f (0 K) ... -1644 meV per atom
Density ... 4.57 g/cm³

Geometry as CIF:
```
data_CaSmFe4O12
_cell_length_a 7.585
_cell_length_b 7.595
_cell_length_c 7.637
_cell_angle_alpha 90.00
_cell_angle_beta 90.00
_cell_angle_gamma 90.00
_symmetry_space_group_name_H-M 'C m m m'
_symmetry_Int_Tables_number 65
_symmetry_space_group_name_Hall '-C 2 2'
loop_
_atom_site_label
_atom_site_type_symbol
_atom_site_fract_x
_atom_site_fract_y
_atom_site_fract_z
Ca1 Ca 0.000 0.000 0.000
Sm1 Sm 0.000 0.500 0.500
Fe1 Fe 0.250 0.250 0.248
O1 O 0.000 0.259 0.258
O2 O 0.248 0.500 0.256
O3 O 0.250 0.250 0.000
O4 O 0.250 0.250 0.500
```

***

Number 1 is which compound?
CaFe3Si2O9

***

What did the fourth record say?
First-principles (PBE with a Hubbard U) data for CaSmFe4O12 after structural relaxation, as listed in the Materials Project.

ΔH_f (0 K) ... -1644 meV per atom
Density ... 4.57 g/cm³

Geometry as CIF:
```
data_CaSmFe4O12
_cell_length_a 7.585
_cell_length_b 7.595
_cell_length_c 7.637
_cell_angle_alpha 90.00
_cell_angle_beta 90.00
_cell_angle_gamma 90.00
_symmetry_space_group_name_H-M 'C m m m'
_symmetry_Int_Tables_number 65
_symmetry_space_group_name_Hall '-C 2 2'
loop_
_atom_site_label
_atom_site_type_symbol
_atom_site_fract_x
_atom_site_fract_y
_atom_site_fract_z
Ca1 Ca 0.000 0.000 0.000
Sm1 Sm 0.000 0.500 0.500
Fe1 Fe 0.250 0.250 0.248
O1 O 0.000 0.259 0.258
O2 O 0.248 0.500 0.256
O3 O 0.250 0.250 0.000
O4 O 0.250 0.250 0.500
```

***

Copy entry 2 word for word.
First-principles (PBE with a Hubbard U) data for Ca2ZnFeSi4O12 after structural relaxation, as listed in the Materials Project.

ΔH_f (0 K) ... -3021 meV per atom
Density ... 3.61 g/cm³

Geometry as CIF:
```
data_Ca2ZnFeSi4O12
_cell_length_a 7.715
_cell_length_b 7.727
_cell_length_c 9.394
_cell_angle_alpha 109.40
_cell_angle_beta 103.64
_cell_angle_gamma 107.95
_symmetry_space_group_name_H-M 'P 1'
_symmetry_Int_Tables_number 1
loop_
_symmetry_equiv_pos_as_xyz
'x,y,z'
loop_
_atom_site_label
_atom_site_type_symbol
_atom_site_fract_x
_atom_site_fract_y
_atom_site_fract_z
Ca1 Ca 0.000 0.000 0.000
Ca2 Ca 0.154 0.404 0.750
Ca3 Ca 0.500 0.999 0.500
Ca4 Ca 0.656 0.405 0.251
Zn1 Zn 0.048 0.798 0.250
Zn2 Zn 0.548 0.798 0.750
Fe1 Fe 0.107 0.607 0.500
Fe2 Fe 0.607 0.607 0.000
Si1 Si 0.285 0.507 0.205
Si2 Si 0.304 0.081 0.796
Si3 Si 0.351 0.322 0.455
Si4 Si 0.368 0.897 0.045
Si5 Si 0.785 0.508 0.704
Si6 Si 0.803 0.080 0.295
Si7 Si 0.852 0.323 0.955
Si8 Si 0.868 0.897 0.545
O1 O 0.061 0.032 0.725
O2 O 0.095 0.371 0.023
O3 O 0.167 0.819 0.075
O4 O 0.238 0.672 0.330
O5 O 0.243 0.092 0.425
O6 O 0.306 0.334 0.275
O7 O 0.313 0.493 0.582
O8 O 0.345 0.910 0.670
O9 O 0.348 0.071 0.977
O10 O 0.410 0.731 0.917
O11 O 0.412 0.311 0.825
O12 O 0.487 0.588 0.177
O13 O 0.561 0.032 0.225
O14 O 0.594 0.371 0.523
O15 O 0.668 0.819 0.575
O16 O 0.739 0.674 0.829
O17 O 0.744 0.092 0.925
O18 O 0.807 0.336 0.775
O19 O 0.813 0.493 0.082
O20 O 0.842 0.907 0.169
O21 O 0.848 0.071 0.477
O22 O 0.910 0.731 0.417
O23 O 0.912 0.309 0.323
O24 O 0.986 0.588 0.675
```